[1]
Density functional theory data (PBE with a Hubbard U) for a relaxed structure of LiFeP2O7.

Excess energy over the best structure of this formula in the dataset: 0.044 eV per atom

Cell lengths 8.4161, 6.9585, 9.3313 Å; angles 68.62, 90.00, 90.00 degrees
Atoms (fractional coordinates):
O 0.6917 0.7494 0.4037
O 0.7438 0.1219 0.2910
O 0.9173 0.5003 0.1455
O 0.1183 0.4781 0.3925
O 0.2562 0.8781 0.7090
O 0.3083 0.2506 0.5963
O 0.2438 0.8781 0.2090
O 0.0975 0.1199 0.8042
O 0.6183 0.5219 0.1075
P 0.2179 0.4729 0.9700
P 0.7630 0.9322 0.7419
Li 0.4241 0.8078 0.0890
P 0.7179 0.5271 0.5300
O 0.4173 0.4997 0.3545
Fe 0.4321 0.6899 0.6928
Fe 0.5679 0.3101 0.3072
O 0.0827 0.4997 0.8545
P 0.2821 0.4729 0.4700
O 0.8083 0.7494 0.9037
O 0.8817 0.5219 0.6075
O 0.7812 0.3663 0.9515
O 0.1917 0.2506 0.0963
O 0.6099 0.9497 0.1249
Fe 0.9321 0.3101 0.8072
O 0.5975 0.8801 0.6958
O 0.5827 0.5003 0.6455
O 0.7188 0.3663 0.4515
P 0.2630 0.0678 0.7581
Li 0.5759 0.1922 0.9110
O 0.8901 0.9497 0.6249
O 0.2188 0.6337 0.0485
O 0.3901 0.0503 0.8751
O 0.1099 0.0503 0.3751
Li 0.0759 0.8078 0.5890
O 0.4025 0.1199 0.3042
O 0.9025 0.8801 0.1958
P 0.7370 0.9322 0.2419
Li 0.9241 0.1922 0.4110
O 0.3817 0.4781 0.8925
O 0.7562 0.1219 0.7910
P 0.2370 0.0678 0.2581
Fe 0.0679 0.6899 0.1928
P 0.7821 0.5271 0.0300
O 0.2812 0.6337 0.5485

[2]
Density functional theory data (PBE with a Hubbard U) for a relaxed structure of LiFe3P6O20.

Cell lengths 8.4223, 8.4223, 12.3271 Å; angles 90.00, 90.00, 104.93 degrees
Atoms (fractional coordinates):
O 0.7263 0.3170 0.0847
Fe 0.2990 0.7010 0.7500
O 0.8457 0.0800 0.0255
Fe 0.2392 0.7608 0.2500
O 0.0550 0.6580 0.7581
O 0.5368 0.7262 0.7304
O 0.9200 0.1543 0.4745
O 0.0024 0.7358 0.2061
O 0.1543 0.9200 0.5255
O 0.7262 0.5368 0.2696
O 0.6580 0.0550 0.2419
P 0.6290 0.9091 0.3164
O 0.1641 0.2130 0.1950
P 0.2642 0.8513 0.9868
O 0.9650 0.6417 0.5586
O 0.9450 0.3420 0.2581
P 0.7358 0.1487 0.4868
P 0.6983 0.8187 0.7783
O 0.8359 0.7870 0.6950
Fe 0.1293 0.1293 0.5000
O 0.7358 0.0024 0.7939
O 0.0800 0.8457 0.9745
O 0.2642 0.9976 0.2939
O 0.2738 0.4632 0.7696
P 0.3710 0.0909 0.8164
P 0.3017 0.1813 0.2783
O 0.3420 0.9450 0.7419
Fe 0.7010 0.2990 0.2500
P 0.1813 0.3017 0.7217
Li 0.5864 0.5864 0.0000
O 0.6812 0.1526 0.6030
O 0.2737 0.6830 0.5847
O 0.3188 0.8474 0.1030
O 0.7411 0.7267 0.1091
O 0.0350 0.3583 0.0586
O 0.2130 0.1641 0.8050
Fe 0.8707 0.8707 0.0000
O 0.1526 0.6812 0.3970
O 0.2733 0.2589 0.3909
O 0.7739 0.4736 0.6979
O 0.3583 0.0350 0.9414
O 0.5264 0.2261 0.8021
Fe 0.7608 0.2392 0.7500
O 0.4736 0.7739 0.3021
O 0.9976 0.2642 0.7061
O 0.2589 0.2733 0.6091
Li 0.4136 0.4136 0.5000
O 0.7870 0.8359 0.3050
P 0.8187 0.6983 0.2217
O 0.3170 0.7263 0.9153
P 0.9091 0.6290 0.6836
P 0.8513 0.2642 0.0132
O 0.4632 0.2738 0.2304
P 0.1487 0.7358 0.5132
P 0.0909 0.3710 0.1836
O 0.6830 0.2737 0.4153
O 0.7267 0.7411 0.8909
O 0.6417 0.9650 0.4414
O 0.8474 0.3188 0.8970
O 0.2261 0.5264 0.1979

[3]
Density functional theory data (PBE with a Hubbard U) for a relaxed structure of LiFeP3O9.

Excess energy over the best structure of this formula in the dataset: 0.000 eV per atom

Cell lengths 9.7101, 9.5191, 9.4653 Å; angles 108.80, 104.84, 109.24 degrees
Atoms (fractional coordinates):
O 0.0905 0.1403 0.2004
O 0.5006 0.2501 0.8453
Li 0.5040 0.9329 0.3479
O 0.6764 0.5645 0.0295
O 0.3006 0.9279 0.2119
O 0.2897 0.6034 0.5706
P 0.5908 0.4313 0.3085
P 0.1647 0.7908 0.0560
O 0.8301 0.1633 0.0936
O 0.7475 0.9866 0.4463
O 0.2525 0.0134 0.5537
O 0.1997 0.6310 0.9997
Fe 0.7266 0.7669 0.2510
P 0.7052 0.3361 0.5699
O 0.4994 0.7499 0.1547
P 0.4092 0.5687 0.6915
O 0.6994 0.0721 0.7881
O 0.9537 0.8232 0.3698
O 0.3740 0.6429 0.8496
O 0.9095 0.8597 0.7996
P 0.6430 0.3878 0.9982
P 0.9219 0.0875 0.1889
Li 0.6760 0.8489 0.6443
O 0.9238 0.1833 0.3638
O 0.1395 0.6971 0.4024
O 0.8003 0.3690 0.0003
P 0.3570 0.6122 0.0018
O 0.3236 0.4355 0.9705
O 0.6260 0.3571 0.1504
O 0.3552 0.3852 0.6313
O 0.1699 0.8367 0.9064
Fe 0.2734 0.2331 0.7490
P 0.1059 0.8503 0.4877
Li 0.4960 0.0671 0.6521
O 0.8127 0.9027 0.1160
P 0.8353 0.2092 0.9440
O 0.6448 0.6148 0.3687
O 0.7103 0.3966 0.4294
P 0.2948 0.6639 0.4301
O 0.8605 0.3029 0.5976
O 0.4206 0.3190 0.2715
O 0.0005 0.2698 0.9513
P 0.8941 0.1497 0.5123
Fe 0.7883 0.6999 0.8998
O 0.5558 0.1757 0.5030
P 0.0781 0.9125 0.8111
O 0.0762 0.8167 0.6362
O 0.9995 0.7302 0.0487
Fe 0.2117 0.3001 0.1002
O 0.4442 0.8243 0.4970
O 0.7420 0.4769 0.7240
Li 0.3240 0.1511 0.3557
O 0.2580 0.5231 0.2760
O 0.5794 0.6810 0.7285
O 0.0463 0.1768 0.6302
O 0.1873 0.0973 0.8840

[4]
Density functional theory data (PBE with a Hubbard U) for a relaxed structure of LiFe2P2O8.

Excess energy over the best structure of this formula in the dataset: 0.008 eV per atom

Cell lengths 5.2455, 8.5372, 8.7740 Å; angles 71.19, 90.00, 90.00 degrees
Atoms (fractional coordinates):
Li 0.8243 0.0944 0.0323
O 0.2725 0.3810 0.9641
Fe 0.3169 0.5025 0.7430
O 0.7275 0.8810 0.9641
O 0.7256 0.3078 0.4963
O 0.8148 0.7864 0.2574
O 0.1837 0.0763 0.1034
O 0.7841 0.1995 0.7912
O 0.2159 0.6995 0.7912
O 0.8163 0.5763 0.1034
O 0.3487 0.9982 0.6688
P 0.6889 0.7315 0.1253
P 0.1863 0.8593 0.6386
O 0.2744 0.8078 0.4963
O 0.1852 0.2864 0.2574
Fe 0.6831 0.0025 0.7430
Fe 0.8061 0.3385 0.2669
O 0.3985 0.7025 0.1553
O 0.6015 0.2025 0.1553
O 0.9055 0.9181 0.6209
Li 0.1757 0.5944 0.0323
P 0.8137 0.3593 0.6386
O 0.0945 0.4181 0.6209
Fe 0.1939 0.8385 0.2669
O 0.6513 0.4982 0.6688
P 0.3111 0.2315 0.1253

[5]
Density functional theory data (PBE with a Hubbard U) for a relaxed structure of LiFePO4.

Excess energy over the best structure of this formula in the dataset: 0.030 eV per atom

Cell lengths 4.9709, 6.3179, 9.3961 Å; angles 90.00, 90.00, 90.00 degrees
Atoms (fractional coordinates):
O 0.1602 0.5471 0.8824
Fe 0.0000 0.5000 0.5000
O 0.8398 0.4529 0.1176
Li 0.5243 0.7500 0.6688
Li 0.9757 0.7500 0.1688
O 0.9153 0.2500 0.3432
O 0.3398 0.9529 0.3824
O 0.8398 0.0471 0.1176
O 0.5847 0.2500 0.8432
Fe 0.5000 0.0000 0.0000
P 0.0287 0.7500 0.8222
Li 0.0243 0.2500 0.8312
Fe 0.0000 0.0000 0.5000
O 0.0847 0.7500 0.6568
O 0.1602 0.9529 0.8824
P 0.5287 0.2500 0.6778
Fe 0.5000 0.5000 0.0000
O 0.3398 0.5471 0.3824
P 0.4713 0.7500 0.3222
O 0.4153 0.7500 0.1568
Li 0.4757 0.2500 0.3312
O 0.7226 0.7500 0.8602
O 0.2774 0.2500 0.1398
O 0.6602 0.4529 0.6176
O 0.6602 0.0471 0.6176
O 0.2226 0.2500 0.6398
O 0.7774 0.7500 0.3602
P 0.9713 0.2500 0.1778

[6]
Density functional theory data (PBE with a Hubbard U) for a relaxed structure of LiFe2P4O14.

Cell lengths 8.2497, 9.1570, 13.3988 Å; angles 90.00, 90.00, 90.00 degrees
Atoms (fractional coordinates):
Fe 0.3538 0.4830 0.4035
O 0.7152 0.1384 0.5040
P 0.4493 0.6766 0.2009
O 0.9170 0.3867 0.0283
P 0.0507 0.6766 0.2991
Li 0.5000 0.0000 0.5000
O 0.8739 0.1723 0.6910
O 0.1292 0.0680 0.1274
O 0.9555 0.3799 0.8077
O 0.6325 0.8432 0.4124
O 0.5830 0.3867 0.4717
O 0.6261 0.6723 0.6910
Fe 0.8538 0.5170 0.9035
O 0.6357 0.6997 0.1681
P 0.2081 0.7304 0.9332
O 0.3675 0.1568 0.5876
O 0.8739 0.6723 0.8090
P 0.2919 0.7304 0.5668
O 0.5445 0.8799 0.8077
Li 0.5000 0.5000 0.0000
O 0.7848 0.6384 0.5040
O 0.4170 0.6133 0.5283
O 0.2152 0.8616 0.0040
O 0.6357 0.1997 0.3319
O 0.3643 0.3003 0.8319
P 0.7081 0.2696 0.4332
O 0.8708 0.4320 0.6274
P 0.9493 0.8234 0.7991
O 0.5445 0.3799 0.6923
O 0.7152 0.6384 0.9960
P 0.5507 0.3234 0.7991
P 0.7081 0.7696 0.0668
O 0.4555 0.1201 0.1923
O 0.8643 0.6997 0.3319
O 0.6292 0.4320 0.8726
P 0.4493 0.1766 0.2991
Fe 0.6462 0.5170 0.5965
O 0.1261 0.8277 0.3090
O 0.1357 0.8003 0.8319
Fe 0.1462 0.9830 0.4035
O 0.6292 0.9320 0.6274
O 0.2848 0.8616 0.4960
O 0.3708 0.0680 0.3726
O 0.0445 0.6201 0.1923
O 0.8675 0.8432 0.0876
P 0.2919 0.2304 0.9332
O 0.3739 0.8277 0.1910
Fe 0.6462 0.0170 0.9035
P 0.2081 0.2304 0.5668
O 0.6325 0.3432 0.0876
O 0.8708 0.9320 0.8726
P 0.7919 0.7696 0.4332
O 0.1292 0.5680 0.3726
O 0.3708 0.5680 0.1274
O 0.0830 0.6133 0.9717
O 0.5830 0.8867 0.0283
O 0.1325 0.1568 0.9124
O 0.8675 0.3432 0.4124
O 0.9555 0.8799 0.6923
O 0.4170 0.1133 0.9717
O 0.9170 0.8867 0.4717
O 0.2848 0.3616 0.0040
Fe 0.8538 0.0170 0.5965
O 0.8643 0.1997 0.1681
Li 0.0000 0.5000 0.5000
O 0.0830 0.1133 0.5283
O 0.1325 0.6568 0.5876
O 0.3643 0.8003 0.6681
P 0.0507 0.1766 0.2009
Fe 0.3538 0.9830 0.0965
P 0.5507 0.8234 0.7009
O 0.1261 0.3277 0.1910
O 0.6261 0.1723 0.8090
O 0.0445 0.1201 0.3077
Li 0.0000 0.0000 0.0000
O 0.3675 0.6568 0.9124
O 0.1357 0.3003 0.6681
P 0.7919 0.2696 0.0668
O 0.3739 0.3277 0.3090
O 0.7848 0.1384 0.9960
O 0.4555 0.6201 0.3077
O 0.2152 0.3616 0.4960
Fe 0.1462 0.4830 0.0965
P 0.9493 0.3234 0.7009

[7]
Density functional theory data (PBE with a Hubbard U) for a relaxed structure of LiFeP2O7.

Excess energy over the best structure of this formula in the dataset: 0.095 eV per atom

Cell lengths 6.2787, 6.7080, 7.0864 Å; angles 75.44, 65.09, 81.04 degrees
Atoms (fractional coordinates):
O 0.3853 0.0689 0.8756
Li 0.0623 0.6729 0.8140
O 0.6204 0.3455 0.1327
O 0.4023 0.2568 0.5199
O 0.3010 0.5967 0.3168
O 0.0541 0.0270 0.7676
O 0.3796 0.6545 0.8673
O 0.1870 0.2588 0.2808
P 0.7743 0.8229 0.2415
O 0.5977 0.7432 0.4801
Fe 0.7422 0.1879 0.9011
Fe 0.2578 0.8121 0.0989
O 0.8130 0.7412 0.7192
P 0.2257 0.1771 0.7585
O 0.9459 0.9730 0.2324
O 0.0633 0.3540 0.8547
O 0.6147 0.9311 0.1244
Li 0.9377 0.3271 0.1860
O 0.9367 0.6460 0.1453
O 0.6990 0.4033 0.6832
P 0.6351 0.6336 0.6994
P 0.3649 0.3664 0.3006

[8]
Density functional theory data (PBE with a Hubbard U) for a relaxed structure of LiFe2P2O8.

Excess energy over the best structure of this formula in the dataset: 0.018 eV per atom

Cell lengths 10.2304, 5.1739, 6.9339 Å; angles 89.61, 90.00, 90.00 degrees
Atoms (fractional coordinates):
P 0.9070 0.5552 0.9816
Fe 0.3226 0.9455 0.2436
O 0.0578 0.5072 0.9853
O 0.9434 0.0093 0.5236
O 0.1203 0.6643 0.5597
O 0.6203 0.3357 0.4403
Li 0.3711 0.9502 0.7507
P 0.0912 0.9551 0.5167
O 0.5578 0.4928 0.0147
Fe 0.8226 0.0545 0.7564
O 0.3428 0.5730 0.8324
Fe 0.6671 0.5477 0.2325
O 0.6686 0.8973 0.3189
O 0.1410 0.0294 0.3165
P 0.5912 0.0449 0.4833
O 0.8499 0.4365 0.7989
Li 0.8711 0.0498 0.2493
O 0.6410 0.9706 0.6835
O 0.3499 0.5635 0.2011
O 0.8766 0.8483 0.9967
Fe 0.1671 0.4523 0.7675
O 0.8428 0.4270 0.1676
O 0.1686 0.1027 0.6811
O 0.3766 0.1517 0.0033
P 0.4070 0.4448 0.0184
O 0.4434 0.9907 0.4764

[9]
Density functional theory data (PBE with a Hubbard U) for a relaxed structure of LiFePO4.

Excess energy over the best structure of this formula in the dataset: 0.091 eV per atom

Cell lengths 4.9896, 4.9894, 16.3252 Å; angles 94.68, 85.31, 78.13 degrees
Atoms (fractional coordinates):
O 0.9315 0.4108 0.3006
P 0.2818 0.3716 0.6372
O 0.5715 0.4268 0.1540
O 0.9135 0.7600 0.1608
O 0.0686 0.5892 0.6994
O 0.4285 0.5732 0.8460
Fe 0.8316 0.3226 0.7489
Fe 0.1682 0.6776 0.2511
O 0.7819 0.5875 0.4509
O 0.5733 0.4286 0.6540
Li 0.7997 0.5472 0.5628
Fe 0.3221 0.8322 0.7511
O 0.4121 0.2181 0.9509
O 0.4107 0.9316 0.1993
O 0.0865 0.2400 0.8392
O 0.2181 0.4124 0.5492
O 0.4267 0.5713 0.3460
P 0.7182 0.6283 0.3628
Fe 0.6778 0.1679 0.2489
O 0.2404 0.0864 0.6607
Li 0.2003 0.4528 0.4372
O 0.5880 0.7819 0.0491
Li 0.4532 0.2003 0.0628
P 0.3716 0.2817 0.8628
O 0.5893 0.0684 0.8007
P 0.6284 0.7183 0.1372
O 0.7596 0.9136 0.3393
Li 0.5468 0.7997 0.9372

Per-record ΔE_f, eV/atom: -2.483; -2.439; -2.554; -2.381; -2.450; -2.350; -2.432; -2.371; -2.390